(1)
{
  "formula": "KCr2PbF9",
  "functional": "PBE with a Hubbard U",
  "state": "optimized geometry",
  "cell": [[-1.2292, -2.3138, 4.8723], [9.2134, 2.0976, 3.3206], [-4.5988, 12.5796, 4.8137]],
  "species": ["F", "F", "F", "F", "F", "F", "F", "F", "F", "F", "F", "F", "F", "F", "F", "F", "F", "F", "F", "F", "F", "F", "F", "F", "F", "F", "F", "F", "F", "F", "F", "F", "F", "F", "F", "F", "K", "K", "K", "K", "Cr", "Cr", "Cr", "Cr", "Cr", "Cr", "Cr", "Cr", "Pb", "Pb", "Pb", "Pb"],
  "frac_coords": [[0.0138, 0.5157, 0.7483], [0.0138, 0.0157, 0.7517], [0.5016, 0.3829, 0.4370], [0.7500, 0.1188, 0.1069], [0.5138, 0.9843, 0.2483], [0.4910, 0.6540, 0.9506], [0.9862, 0.9843, 0.2483], [0.2500, 0.3812, 0.6069], [0.2500, 0.8812, 0.8931], [0.5090, 0.8460, 0.4506], [0.0090, 0.6540, 0.9506], [0.9910, 0.8460, 0.4506], [0.4910, 0.1540, 0.5494], [0.9910, 0.3460, 0.0494], [0.5090, 0.3460, 0.0494], [0.2500, 0.2445, 0.7939], [0.4984, 0.6171, 0.5630], [0.2500, 0.7445, 0.7061], [0.5138, 0.4843, 0.2517], [0.4984, 0.1171, 0.9370], [0.7500, 0.6188, 0.3931], [0.7500, 0.3481, 0.8861], [0.9862, 0.4843, 0.2517], [0.7500, 0.7555, 0.2061], [0.0016, 0.6171, 0.5630], [0.4862, 0.5157, 0.7483], [0.9984, 0.3829, 0.4370], [0.9984, 0.8829, 0.0630], [0.2500, 0.1519, 0.3861], [0.5016, 0.8829, 0.0630], [0.4862, 0.0157, 0.7517], [0.0016, 0.1171, 0.9370], [0.2500, 0.6519, 0.1139], [0.7500, 0.2555, 0.2939], [0.0090, 0.1540, 0.5494], [0.7500, 0.8481, 0.6139], [0.7500, 0.7699, 0.7995], [0.2500, 0.7301, 0.2995], [0.7500, 0.2699, 0.7005], [0.2500, 0.2301, 0.2005], [0.7500, 0.9335, 0.1553], [0.2500, 0.0665, 0.8447], [0.2500, 0.2688, 0.4923], [0.2500, 0.7688, 0.0077], [0.2500, 0.5665, 0.6553], [0.7500, 0.2312, 0.9923], [0.7500, 0.7312, 0.5077], [0.7500, 0.4335, 0.3447], [0.7500, 0.0523, 0.3887], [0.7500, 0.5523, 0.1113], [0.2500, 0.4477, 0.8887], [0.2500, 0.9477, 0.6113]],
  "ef_kj_per_mol_atoms": -290
}


(2)
{
  "formula": "Ba5V5O14",
  "functional": "PBE with a Hubbard U",
  "state": "optimized geometry",
  "cell": [[-2.3365, 3.2814, 4.3027], [9.6079, 9.2476, 2.1992], [-7.1697, 3.3112, -6.4233]],
  "species": ["V", "V", "V", "V", "V", "V", "V", "V", "V", "V", "O", "O", "O", "O", "O", "O", "O", "O", "O", "O", "O", "O", "O", "O", "O", "O", "O", "O", "O", "O", "O", "O", "O", "O", "O", "O", "O", "O", "Ba", "Ba", "Ba", "Ba", "Ba", "Ba", "Ba", "Ba", "Ba", "Ba"],
  "frac_coords": [[0.2418, 0.5000, 0.7501], [0.4322, 0.1291, 0.2310], [0.8507, 0.2886, 0.1430], [0.6387, 0.7114, 0.3569], [0.9314, 0.1281, 0.7309], [0.3525, 0.2853, 0.6426], [0.5592, 0.8719, 0.7691], [0.0609, 0.8709, 0.2689], [0.1367, 0.7147, 0.8573], [0.7395, 0.5000, 0.2501], [0.0801, 0.9895, 0.6682], [0.9220, 0.6015, 0.3752], [0.8008, 0.3980, 0.3505], [0.8346, 0.8199, 0.3275], [0.4673, 0.5965, 0.3765], [0.5932, 0.8052, 0.5693], [0.4183, 0.6030, 0.8752], [0.5693, 0.0105, 0.8318], [0.8369, 0.8034, 0.8204], [0.4007, 0.1925, 0.4304], [0.1547, 0.1800, 0.1723], [0.0715, 0.4017, 0.6220], [0.6415, 0.1990, 0.1823], [0.1964, 0.6065, 0.6526], [0.3403, 0.8010, 0.3177], [0.8983, 0.1948, 0.9306], [0.5225, 0.3966, 0.6245], [0.5791, 0.9903, 0.1665], [0.3026, 0.3936, 0.8474], [0.0689, 0.0097, 0.3334], [0.1407, 0.1966, 0.6796], [0.5643, 0.4036, 0.1233], [0.6546, 0.1775, 0.6706], [0.3318, 0.8225, 0.8293], [0.6986, 0.6020, 0.1496], [0.0936, 0.8074, 0.0694], [0.9719, 0.5987, 0.8784], [0.0241, 0.3984, 0.1250], [0.8788, 0.2323, 0.4487], [0.4580, 0.9992, 0.4997], [0.3781, 0.2328, 0.9491], [0.6110, 0.7677, 0.0513], [0.1106, 0.7672, 0.5509], [0.7086, 0.5758, 0.6215], [0.2074, 0.5754, 0.1208], [0.9571, 0.0008, 0.0003], [0.2832, 0.4246, 0.3792], [0.7843, 0.4243, 0.8787]],
  "ef_kj_per_mol_atoms": -276,
  "de_polymorph_ev_per_fu": 0.00
}


(3)
{
  "formula": "CoSeO4",
  "functional": "PBE with a Hubbard U",
  "state": "optimized geometry",
  "cell": [[4.9882, 0.0002, 0.0000], [0.0002, 6.8725, 0.0011], [-0.0002, 0.0004, 9.1184]],
  "species": ["O", "O", "O", "O", "O", "O", "O", "O", "O", "O", "O", "O", "O", "O", "O", "O", "Se", "Se", "Se", "Se", "Co", "Co", "Co", "Co"],
  "frac_coords": [[0.9386, 0.7500, 0.1338], [0.8227, 0.5448, 0.3758], [0.6772, 0.9552, 0.8759], [0.2098, 0.7500, 0.8814], [0.5614, 0.7500, 0.6338], [0.4386, 0.2500, 0.3662], [0.7902, 0.2500, 0.1186], [0.7099, 0.2501, 0.6186], [0.6773, 0.5448, 0.8759], [0.8228, 0.9552, 0.3759], [0.1773, 0.4552, 0.6242], [0.3227, 0.4552, 0.1241], [0.0614, 0.2500, 0.8662], [0.1772, 0.0448, 0.6241], [0.3228, 0.0448, 0.1241], [0.2901, 0.7499, 0.3814], [0.0297, 0.2500, 0.6794], [0.5297, 0.7500, 0.8206], [0.9703, 0.7500, 0.3206], [0.4703, 0.2500, 0.1794], [0.0000, 0.0000, 0.0000], [0.5000, 0.0000, 0.5000], [0.5000, 0.5000, 0.5000], [0.0000, 0.5000, 0.0000]],
  "ef_kj_per_mol_atoms": -119
}


Values for volume, Å³ per cell, ordered as above
788.6 728.7 312.6